Entry 1:
# Li2VCr2O6

A relaxed Li2VCr2O6 crystal (PBE with a Hubbard U, the Materials Project database).

Geometry as CIF:
```
data_Li2VCr2O6
_chemical_formula_sum 'Li4 V2 Cr4 O12'
_cell_length_a 5.095
_cell_length_b 10.217
_cell_length_c 5.158
_cell_angle_alpha 90.00
_cell_angle_beta 119.60
_cell_angle_gamma 89.99
_symmetry_space_group_name_H-M 'P 1'
_symmetry_Int_Tables_number 1
loop_
_symmetry_equiv_pos_as_xyz
'x,y,z'
loop_
_atom_site_label
_atom_site_type_symbol
_atom_site_fract_x
_atom_site_fract_y
_atom_site_fract_z
Li1 Li 0.149 0.750 0.500
Li2 Li 0.351 0.250 0.500
Li3 Li 0.649 0.750 0.500
Li4 Li 0.851 0.250 0.500
V1 V 0.500 0.500 0.999
V2 V 0.000 0.000 0.999
Cr1 Cr 0.666 0.000 0.332
Cr2 Cr 0.835 0.500 0.670
Cr3 Cr 0.166 0.500 0.332
Cr4 Cr 0.335 0.000 0.670
O1 O 0.186 0.597 0.000
O2 O 0.314 0.097 0.000
O3 O 0.686 0.903 0.000
O4 O 0.814 0.403 0.000
O5 O 0.009 0.106 0.340
O6 O 0.992 0.893 0.660
O7 O 0.168 0.393 0.660
O8 O 0.492 0.607 0.660
O9 O 0.331 0.894 0.340
O10 O 0.509 0.394 0.340
O11 O 0.831 0.606 0.340
O12 O 0.668 0.107 0.660
```

***

Entry 2:
# Li4V3CrO8

A relaxed Li4V3CrO8 crystal (PBE with a Hubbard U, the Materials Project database).

Geometry as CIF:
```
data_Li4V3CrO8
_chemical_formula_sum 'Li8 V6 Cr2 O16'
_cell_length_a 5.188
_cell_length_b 6.001
_cell_length_c 10.359
_cell_angle_alpha 89.85
_cell_angle_beta 99.76
_cell_angle_gamma 106.91
_symmetry_space_group_name_H-M 'P 1'
_symmetry_Int_Tables_number 1
loop_
_symmetry_equiv_pos_as_xyz
'x,y,z'
loop_
_atom_site_label
_atom_site_type_symbol
_atom_site_fract_x
_atom_site_fract_y
_atom_site_fract_z
Li1 Li 0.498 0.247 0.250
Li2 Li 0.499 0.248 0.751
Li3 Li 0.500 0.000 0.000
Li4 Li 0.500 0.000 0.500
Li5 Li 0.501 0.752 0.249
Li6 Li 0.502 0.753 0.750
Li7 Li 0.500 0.500 0.000
Li8 Li 0.500 0.500 0.500
V1 V 0.000 0.125 0.375
V2 V 0.000 0.875 0.625
V3 V 0.000 0.624 0.875
V4 V 0.000 0.625 0.374
V5 V 0.000 0.376 0.125
V6 V 0.000 0.375 0.626
Cr1 Cr 0.001 0.124 0.876
Cr2 Cr 0.999 0.876 0.124
O1 O 0.773 0.067 0.189
O2 O 0.775 0.068 0.691
O3 O 0.225 0.180 0.061
O4 O 0.229 0.183 0.561
O5 O 0.775 0.820 0.939
O6 O 0.227 0.933 0.811
O7 O 0.771 0.817 0.439
O8 O 0.225 0.932 0.309
O9 O 0.772 0.571 0.187
O10 O 0.226 0.685 0.060
O11 O 0.772 0.567 0.689
O12 O 0.231 0.683 0.560
O13 O 0.774 0.315 0.940
O14 O 0.228 0.429 0.813
O15 O 0.769 0.317 0.440
O16 O 0.228 0.433 0.311
```

***

Entry 3:
# Li4V3CrO8

A relaxed Li4V3CrO8 crystal (PBE with a Hubbard U, the Materials Project database).

Geometry as CIF:
```
data_Li4V3CrO8
_chemical_formula_sum 'Li8 V6 Cr2 O16'
_cell_length_a 5.170
_cell_length_b 7.910
_cell_length_c 7.915
_cell_angle_alpha 81.97
_cell_angle_beta 83.75
_cell_angle_gamma 70.96
_symmetry_space_group_name_H-M 'P 1'
_symmetry_Int_Tables_number 1
loop_
_symmetry_equiv_pos_as_xyz
'x,y,z'
loop_
_atom_site_label
_atom_site_type_symbol
_atom_site_fract_x
_atom_site_fract_y
_atom_site_fract_z
Li1 Li 0.000 0.687 0.938
Li2 Li 0.002 0.436 0.687
Li3 Li 0.998 0.564 0.313
Li4 Li 0.000 0.063 0.810
Li5 Li 0.002 0.185 0.439
Li6 Li 0.000 0.313 0.062
Li7 Li 0.998 0.815 0.561
Li8 Li 0.000 0.937 0.190
V1 V 0.500 0.375 0.875
V2 V 0.500 0.500 0.500
V3 V 0.500 0.625 0.125
V4 V 0.499 0.251 0.250
V5 V 0.501 0.749 0.750
V6 V 0.500 0.000 0.000
Cr1 Cr 0.500 0.124 0.624
Cr2 Cr 0.500 0.876 0.376
O1 O 0.733 0.533 0.908
O2 O 0.270 0.589 0.718
O3 O 0.727 0.663 0.532
O4 O 0.274 0.212 0.841
O5 O 0.727 0.285 0.656
O6 O 0.730 0.411 0.282
O7 O 0.273 0.337 0.468
O8 O 0.727 0.911 0.780
O9 O 0.726 0.035 0.409
O10 O 0.267 0.467 0.092
O11 O 0.274 0.965 0.591
O12 O 0.730 0.161 0.032
O13 O 0.273 0.089 0.220
O14 O 0.726 0.788 0.159
O15 O 0.273 0.715 0.344
O16 O 0.270 0.839 0.968
```

***

Entry 4:
# Li2VCr3O8

A relaxed Li2VCr3O8 crystal (PBE with a Hubbard U, the Materials Project database).

Geometry as CIF:
```
data_Li2VCr3O8
_chemical_formula_sum 'Li4 V2 Cr6 O16'
_cell_length_a 5.909
_cell_length_b 5.910
_cell_length_c 10.477
_cell_angle_alpha 74.56
_cell_angle_beta 73.62
_cell_angle_gamma 60.01
_symmetry_space_group_name_H-M 'P 1'
_symmetry_Int_Tables_number 1
loop_
_symmetry_equiv_pos_as_xyz
'x,y,z'
loop_
_atom_site_label
_atom_site_type_symbol
_atom_site_fract_x
_atom_site_fract_y
_atom_site_fract_z
Li1 Li 0.250 0.750 0.250
Li2 Li 0.750 0.250 0.750
Li3 Li 0.750 0.750 0.250
Li4 Li 0.250 0.250 0.750
V1 V 0.000 0.000 0.000
V2 V 0.500 0.500 0.500
Cr1 Cr 0.500 0.000 0.000
Cr2 Cr 0.000 0.000 0.500
Cr3 Cr 0.500 0.000 0.500
Cr4 Cr 0.000 0.500 0.500
Cr5 Cr 0.500 0.500 0.000
Cr6 Cr 0.000 0.500 0.000
O1 O 0.379 0.848 0.394
O2 O 0.879 0.348 0.894
O3 O 0.121 0.652 0.106
O4 O 0.621 0.152 0.606
O5 O 0.873 0.860 0.394
O6 O 0.373 0.360 0.894
O7 O 0.627 0.640 0.106
O8 O 0.127 0.140 0.606
O9 O 0.849 0.377 0.398
O10 O 0.349 0.877 0.898
O11 O 0.377 0.377 0.398
O12 O 0.877 0.877 0.898
O13 O 0.123 0.123 0.102
O14 O 0.623 0.623 0.602
O15 O 0.651 0.123 0.102
O16 O 0.151 0.623 0.602
```

***

Entry 5:
# Li5V2Cr2O8

A relaxed Li5V2Cr2O8 crystal (PBE with a Hubbard U, the Materials Project database).

Geometry as CIF:
```
data_Li5V2Cr2O8
_chemical_formula_sum 'Li5 V2 Cr2 O8'
_cell_length_a 6.019
_cell_length_b 6.046
_cell_length_c 6.032
_cell_angle_alpha 119.74
_cell_angle_beta 60.07
_cell_angle_gamma 90.00
_symmetry_space_group_name_H-M 'P 1'
_symmetry_Int_Tables_number 1
loop_
_symmetry_equiv_pos_as_xyz
'x,y,z'
loop_
_atom_site_label
_atom_site_type_symbol
_atom_site_fract_x
_atom_site_fract_y
_atom_site_fract_z
Li1 Li 0.000 0.000 0.000
Li2 Li 0.500 0.000 0.500
Li3 Li 0.000 0.000 0.500
Li4 Li 0.934 0.709 0.131
Li5 Li 0.066 0.291 0.868
V1 V 0.500 0.000 0.000
V2 V 0.500 0.500 0.000
Cr1 Cr 0.000 0.500 0.500
Cr2 Cr 0.500 0.500 0.500
O1 O 0.252 0.264 0.496
O2 O 0.748 0.737 0.504
O3 O 0.249 0.735 0.503
O4 O 0.751 0.265 0.497
O5 O 0.269 0.752 0.980
O6 O 0.751 0.752 0.980
O7 O 0.249 0.248 0.020
O8 O 0.731 0.248 0.020
```

***

Entry 6:
# Li4V3CrO8

A relaxed Li4V3CrO8 crystal (PBE with a Hubbard U, the Materials Project database).

Geometry as CIF:
```
data_Li4V3CrO8
_chemical_formula_sum 'Li4 V3 Cr1 O8'
_cell_length_a 5.970
_cell_length_b 5.970
_cell_length_c 5.970
_cell_angle_alpha 60.24
_cell_angle_beta 60.24
_cell_angle_gamma 60.24
_symmetry_space_group_name_H-M 'P 1'
_symmetry_Int_Tables_number 1
loop_
_symmetry_equiv_pos_as_xyz
'x,y,z'
loop_
_atom_site_label
_atom_site_type_symbol
_atom_site_fract_x
_atom_site_fract_y
_atom_site_fract_z
Li1 Li 0.500 0.500 0.500
Li2 Li 0.000 0.000 0.500
Li3 Li 0.000 0.500 0.000
Li4 Li 0.500 0.000 0.000
V1 V 0.500 0.500 0.000
V2 V 0.500 0.000 0.500
V3 V 0.000 0.500 0.500
Cr1 Cr 0.000 0.000 0.000
O1 O 0.742 0.742 0.742
O2 O 0.241 0.241 0.745
O3 O 0.241 0.745 0.241
O4 O 0.258 0.258 0.258
O5 O 0.745 0.241 0.241
O6 O 0.759 0.759 0.255
O7 O 0.759 0.255 0.759
O8 O 0.255 0.759 0.759
```

***

Entry 7:
# Li5V3Cr2O10

A relaxed Li5V3Cr2O10 crystal (PBE with a Hubbard U, the Materials Project database).

Geometry as CIF:
```
data_Li5V3Cr2O10
_chemical_formula_sum 'Li10 V6 Cr4 O20'
_cell_length_a 5.143
_cell_length_b 7.866
_cell_length_c 10.344
_cell_angle_alpha 108.10
_cell_angle_beta 99.57
_cell_angle_gamma 71.52
_symmetry_space_group_name_H-M 'P 1'
_symmetry_Int_Tables_number 1
loop_
_symmetry_equiv_pos_as_xyz
'x,y,z'
loop_
_atom_site_label
_atom_site_type_symbol
_atom_site_fract_x
_atom_site_fract_y
_atom_site_fract_z
Li1 Li 0.000 0.500 0.250
Li2 Li 0.000 0.500 0.750
Li3 Li 0.495 0.417 0.108
Li4 Li 0.496 0.417 0.607
Li5 Li 0.504 0.583 0.393
Li6 Li 0.505 0.583 0.892
Li7 Li 0.519 0.769 0.191
Li8 Li 0.519 0.769 0.691
Li9 Li 0.481 0.231 0.309
Li10 Li 0.481 0.231 0.809
V1 V 0.500 0.000 0.500
V2 V 0.002 0.890 0.343
V3 V 0.998 0.110 0.657
V4 V 0.500 0.000 0.000
V5 V 0.002 0.890 0.843
V6 V 0.998 0.110 0.157
Cr1 Cr 0.007 0.692 0.047
Cr2 Cr 0.993 0.308 0.953
Cr3 Cr 0.007 0.692 0.547
Cr4 Cr 0.993 0.308 0.453
O1 O 0.237 0.861 0.027
O2 O 0.237 0.861 0.527
O3 O 0.763 0.139 0.473
O4 O 0.763 0.139 0.973
O5 O 0.764 0.942 0.163
O6 O 0.764 0.942 0.663
O7 O 0.236 0.058 0.337
O8 O 0.236 0.058 0.837
O9 O 0.771 0.546 0.067
O10 O 0.771 0.545 0.567
O11 O 0.229 0.455 0.433
O12 O 0.229 0.454 0.933
O13 O 0.247 0.235 0.117
O14 O 0.248 0.235 0.617
O15 O 0.752 0.765 0.383
O16 O 0.753 0.765 0.883
O17 O 0.228 0.667 0.224
O18 O 0.228 0.667 0.724
O19 O 0.772 0.333 0.276
O20 O 0.772 0.333 0.776
```

***

Entry 8:
# LiVCrO4

A relaxed LiVCrO4 crystal (PBE with a Hubbard U, the Materials Project database).

Geometry as CIF:
```
data_LiVCrO4
_chemical_formula_sum 'Li2 V2 Cr2 O8'
_cell_length_a 5.885
_cell_length_b 5.904
_cell_length_c 5.885
_cell_angle_alpha 60.64
_cell_angle_beta 88.04
_cell_angle_gamma 118.20
_symmetry_space_group_name_H-M 'P 1'
_symmetry_Int_Tables_number 1
loop_
_symmetry_equiv_pos_as_xyz
'x,y,z'
loop_
_atom_site_label
_atom_site_type_symbol
_atom_site_fract_x
_atom_site_fract_y
_atom_site_fract_z
Li1 Li 0.500 0.000 0.000
Li2 Li 0.500 0.500 0.500
V1 V 0.000 0.000 0.500
V2 V 0.000 0.500 0.000
Cr1 Cr 0.000 0.000 0.000
Cr2 Cr 0.500 0.500 0.000
O1 O 0.766 0.972 0.759
O2 O 0.768 0.528 0.206
O3 O 0.232 0.472 0.794
O4 O 0.234 0.028 0.241
O5 O 0.235 0.477 0.245
O6 O 0.222 0.977 0.758
O7 O 0.778 0.023 0.242
O8 O 0.765 0.523 0.755
```

***

Entry 9:
# Li3VCr3O8

A relaxed Li3VCr3O8 crystal (PBE with a Hubbard U, the Materials Project database).

Geometry as CIF:
```
data_Li3VCr3O8
_chemical_formula_sum 'Li6 V2 Cr6 O16'
_cell_length_a 5.193
_cell_length_b 7.842
_cell_length_c 7.868
_cell_angle_alpha 94.38
_cell_angle_beta 109.15
_cell_angle_gamma 96.07
_symmetry_space_group_name_H-M 'P 1'
_symmetry_Int_Tables_number 1
loop_
_symmetry_equiv_pos_as_xyz
'x,y,z'
loop_
_atom_site_label
_atom_site_type_symbol
_atom_site_fract_x
_atom_site_fract_y
_atom_site_fract_z
Li1 Li 0.003 0.999 0.002
Li2 Li 0.746 0.256 0.752
Li3 Li 0.493 0.488 0.498
Li4 Li 0.625 0.874 0.630
Li5 Li 0.127 0.377 0.122
Li6 Li 0.247 0.751 0.243
V1 V 0.056 0.684 0.571
V2 V 0.805 0.940 0.313
Cr1 Cr 0.198 0.063 0.685
Cr2 Cr 0.314 0.440 0.815
Cr3 Cr 0.442 0.812 0.938
Cr4 Cr 0.940 0.311 0.432
Cr5 Cr 0.554 0.188 0.063
Cr6 Cr 0.695 0.563 0.186
O1 O 0.574 0.030 0.848
O2 O 0.689 0.400 0.974
O3 O 0.321 0.285 0.604
O4 O 0.431 0.658 0.718
O5 O 0.930 0.150 0.218
O6 O 0.078 0.531 0.352
O7 O 0.185 0.886 0.475
O8 O 0.171 0.220 0.897
O9 O 0.833 0.795 0.115
O10 O 0.814 0.087 0.521
O11 O 0.924 0.474 0.641
O12 O 0.060 0.847 0.774
O13 O 0.562 0.353 0.274
O14 O 0.680 0.723 0.406
O15 O 0.321 0.598 0.032
O16 O 0.433 0.966 0.152
```

***

Entry 10:
# Li2VCr3O8

A relaxed Li2VCr3O8 crystal (PBE with a Hubbard U, the Materials Project database).

Geometry as CIF:
```
data_Li2VCr3O8
_chemical_formula_sum 'Li4 V2 Cr6 O16'
_cell_length_a 5.240
_cell_length_b 7.820
_cell_length_c 7.842
_cell_angle_alpha 94.63
_cell_angle_beta 95.13
_cell_angle_gamma 109.27
_symmetry_space_group_name_H-M 'P 1'
_symmetry_Int_Tables_number 1
loop_
_symmetry_equiv_pos_as_xyz
'x,y,z'
loop_
_atom_site_label
_atom_site_type_symbol
_atom_site_fract_x
_atom_site_fract_y
_atom_site_fract_z
Li1 Li 0.012 0.006 0.994
Li2 Li 0.252 0.235 0.748
Li3 Li 0.510 0.510 0.514
Li4 Li 0.760 0.761 0.261
V1 V 0.941 0.424 0.312
V2 V 0.203 0.682 0.056
Cr1 Cr 0.793 0.317 0.936
Cr2 Cr 0.699 0.180 0.564
Cr3 Cr 0.544 0.064 0.188
Cr4 Cr 0.048 0.569 0.684
Cr5 Cr 0.453 0.933 0.809
Cr6 Cr 0.300 0.816 0.437
O1 O 0.427 0.144 0.965
O2 O 0.331 0.030 0.605
O3 O 0.678 0.395 0.715
O4 O 0.590 0.291 0.350
O5 O 0.075 0.775 0.866
O6 O 0.916 0.635 0.457
O7 O 0.842 0.537 0.114
O8 O 0.829 0.107 0.788
O9 O 0.167 0.887 0.205
O10 O 0.178 0.483 0.906
O11 O 0.078 0.362 0.519
O12 O 0.927 0.231 0.156
O13 O 0.416 0.718 0.643
O14 O 0.309 0.597 0.274
O15 O 0.666 0.969 0.393
O16 O 0.556 0.840 0.041
```

***

Entry 11:
# Li2VCr3O8

A relaxed Li2VCr3O8 crystal (PBE with a Hubbard U, the Materials Project database).

Geometry as CIF:
```
data_Li2VCr3O8
_chemical_formula_sum 'Li4 V2 Cr6 O16'
_cell_length_a 5.962
_cell_length_b 10.177
_cell_length_c 5.994
_cell_angle_alpha 72.87
_cell_angle_beta 59.82
_cell_angle_gamma 72.96
_symmetry_space_group_name_H-M 'P 1'
_symmetry_Int_Tables_number 1
loop_
_symmetry_equiv_pos_as_xyz
'x,y,z'
loop_
_atom_site_label
_atom_site_type_symbol
_atom_site_fract_x
_atom_site_fract_y
_atom_site_fract_z
Li1 Li 0.436 0.694 0.435
Li2 Li 0.936 0.194 0.935
Li3 Li 0.064 0.806 0.065
Li4 Li 0.564 0.306 0.565
V1 V 0.250 0.250 0.250
V2 V 0.750 0.750 0.750
Cr1 Cr 0.500 0.000 0.500
Cr2 Cr 0.500 0.000 0.000
Cr3 Cr 0.500 0.500 0.000
Cr4 Cr 0.000 0.500 0.000
Cr5 Cr 0.000 0.500 0.500
Cr6 Cr 0.000 0.000 0.500
O1 O 0.370 0.895 0.368
O2 O 0.870 0.395 0.868
O3 O 0.130 0.605 0.132
O4 O 0.630 0.105 0.632
O5 O 0.584 0.127 0.144
O6 O 0.084 0.627 0.644
O7 O 0.144 0.128 0.584
O8 O 0.643 0.628 0.084
O9 O 0.144 0.128 0.145
O10 O 0.644 0.628 0.645
O11 O 0.356 0.372 0.355
O12 O 0.856 0.872 0.855
O13 O 0.356 0.372 0.916
O14 O 0.857 0.872 0.416
O15 O 0.916 0.373 0.356
O16 O 0.416 0.873 0.856
```

***

Entry 12:
# Li4V3CrO8

A relaxed Li4V3CrO8 crystal (PBE with a Hubbard U, the Materials Project database).

Geometry as CIF:
```
data_Li4V3CrO8
_chemical_formula_sum 'Li4 V3 Cr1 O8'
_cell_length_a 5.162
_cell_length_b 5.225
_cell_length_c 5.971
_cell_angle_alpha 90.43
_cell_angle_beta 106.50
_cell_angle_gamma 98.82
_symmetry_space_group_name_H-M 'P 1'
_symmetry_Int_Tables_number 1
loop_
_symmetry_equiv_pos_as_xyz
'x,y,z'
loop_
_atom_site_label
_atom_site_type_symbol
_atom_site_fract_x
_atom_site_fract_y
_atom_site_fract_z
Li1 Li 0.997 0.756 0.623
Li2 Li 0.001 0.246 0.874
Li3 Li 0.999 0.754 0.126
Li4 Li 0.003 0.244 0.377
V1 V 0.499 0.500 0.749
V2 V 0.500 0.000 0.000
V3 V 0.501 0.500 0.251
Cr1 Cr 0.500 0.000 0.500
O1 O 0.729 0.878 0.806
O2 O 0.270 0.127 0.688
O3 O 0.725 0.371 0.055
O4 O 0.275 0.629 0.945
O5 O 0.730 0.873 0.312
O6 O 0.271 0.122 0.194
O7 O 0.722 0.369 0.555
O8 O 0.278 0.631 0.445
```

***

| no. | calculated formation energy (eV per atom) |
| --- | --- |
| 1 | -2.37 |
| 2 | -2.45 |
| 3 | -2.47 |
| 4 | -2.32 |
| 5 | -2.28 |
| 6 | -2.45 |
| 7 | -2.42 |
| 8 | -2.37 |
| 9 | -2.39 |
| 10 | -2.32 |
| 11 | -2.39 |
| 12 | -2.46 |